The following is a DFT calculation (PBE) of a relaxed Nb24I35Br9 crystal.

Summary:
DFT total energy in eV for the cell shown: -344.30
ΔE_f in eV per atom: -0.57
Symmetry: No. 1

```
68
Lattice="-9.4511 4.4012 4.8870 -5.4016 -12.5108 0.5701 6.3085 -1.9359 13.8891" Properties=species:S:1:pos:R:3 pbc="T T T"
Nb -8.6000 -4.7693 12.5248
Nb -3.3782 0.7376 17.7271
Nb -8.7703 -3.4076 10.1656
Nb -7.9218 3.5079 5.8690
Nb -7.1814 -9.4446 17.9189
Nb -7.0147 -2.4204 12.1472
Nb -2.2201 -4.2567 16.4774
Nb -7.4162 -9.6293 11.2292
Nb -7.8261 -4.0919 4.7038
Nb -3.2898 1.6712 8.4860
Nb -2.6695 -0.0567 10.5261
Nb -2.8377 -7.0361 16.3241
Nb -5.7968 -2.9607 3.0324
Nb -5.8706 -9.9278 8.8646
Nb -5.1968 -11.6383 10.8901
Nb -0.7955 -5.9354 14.6327
Nb -1.1169 -0.2639 8.1644
Nb -6.3904 -5.7366 2.8563
Nb -1.5141 -7.6317 7.2137
Nb -1.3006 -0.5944 1.3356
Nb -0.5645 -13.5686 13.3876
Nb 0.3033 -6.7849 9.2027
Nb -5.0828 -10.7989 1.5272
Nb 0.0890 -5.3170 6.8406
I -10.5938 -5.6020 10.5507
I -9.5981 1.1877 6.3482
I -6.8076 -3.9030 14.6837
I -3.6619 2.2415 15.2520
I -7.3476 -0.9507 9.6657
I -11.6805 -6.6616 6.1672
I -4.7214 1.9351 10.9653
I -4.3140 -5.3227 18.1333
I -0.5219 0.4685 17.3058
I -6.3270 -4.8161 10.7283
I -7.1481 -1.3067 4.9564
I -8.0507 -8.0339 8.9523
I -3.5291 -5.3248 14.0773
I -1.2203 1.0575 12.7883
I -3.8399 -1.1654 8.1589
I -8.3395 -6.9472 4.5506
I -0.2561 -3.0803 14.7647
I -4.6793 -8.7807 11.2170
I -5.0676 -4.6964 5.2535
I -7.2877 -10.9852 6.5462
I -1.4779 -8.7213 14.4114
I -0.4779 -1.9357 10.4081
I -3.3354 -1.3320 3.4016
I -2.1155 -5.2422 8.6949
I -1.6233 -12.4270 15.8361
I -3.7987 -11.8947 8.4137
I 2.0098 -6.5721 15.1010
I -4.6927 -8.2216 2.9737
I -0.4160 -2.4755 6.2335
I 3.1984 -3.4061 13.1046
I -1.2189 -9.1720 9.6631
I -4.8283 -12.2820 4.0044
I -1.6341 -6.1864 4.6650
I 1.0885 -11.2294 12.9242
I 2.0185 -4.4663 8.8501
Br -3.6557 -1.7694 16.4123
Br -8.0734 -7.5034 12.9486
Br -5.7743 2.1262 7.1671
Br -8.5254 -4.2361 7.4579
Br -5.2248 -8.5669 16.0599
Br -4.2180 -1.8102 12.0594
Br -4.3073 -8.1828 7.2675
Br -2.7399 -12.1759 12.1500
Br -0.0821 -5.9125 11.8978
```